Entry 1:
# GdGaO3 (PBE-GGA, relaxed)
# M_tot, μB per atom: 1.400
data_GdGaO3
_cell_length_a 5.620
_cell_length_b 7.703
_cell_length_c 5.373
_cell_angle_alpha 90.00
_cell_angle_beta 90.00
_cell_angle_gamma 90.00
_symmetry_space_group_name_H-M 'P n m a'
_symmetry_Int_Tables_number 62
_symmetry_space_group_name_Hall '-P 2ac 2n'
loop_
_atom_site_label
_atom_site_type_symbol
_atom_site_fract_x
_atom_site_fract_y
_atom_site_fract_z
Gd1 Gd 0.063 0.250 0.017
Ga1 Ga 0.000 0.000 0.500
O1 O 0.032 0.750 0.398
O2 O 0.199 0.553 0.801

***

Entry 2:
First-principles (PBE-GGA) data for an optimized crystal structure of Al5Co2, as listed in the Materials Project database.

CIF file:
```
data_Al5Co2
_cell_length_a 7.6712
_cell_length_b 7.6712
_cell_length_c 7.5937
_cell_angle_alpha 90.00
_cell_angle_beta 90.00
_cell_angle_gamma 120.00
_symmetry_space_group_name_H-M 'P 63/m m c'
_symmetry_Int_Tables_number 194
_symmetry_space_group_name_Hall '-P 6c 2c'
loop_
_atom_site_label
_atom_site_type_symbol
_atom_site_fract_x
_atom_site_fract_y
_atom_site_fract_z
Al1 Al 0.0000 0.0000 0.0000
Al2 Al 0.0645 0.5323 0.2500
Al3 Al 0.1945 0.3890 0.5598
Co1 Co 0.1274 0.2549 0.2500
Co2 Co 0.3333 0.6667 0.7500
```

***

Calculated total energy per entry: -9.055; -5.167 eV/atom
Energy of formation from the pure elements per entry: -297.0; -44.5 kJ/mol of atoms
Calculated density per entry: 7.85; 4.34 g cm⁻³